RbInW2O8 | GGA+U | optimized geometry

Computed properties:
space-group type	P-3m1, No. 164
ΔE_f	-2.1463	eV per atom

Unit cell a=5.9788 b=5.9788 c=7.9066 alpha=90.00 beta=90.00 gamma=120.00
Closest atoms and distances in Å follow each position.
Atoms (fractional coordinates):
O (0.3333, 0.6667, 0.4602)  1 W 1.78
O (0.1654, 0.8346, 0.1654)  1 W 1.83
O (0.6667, 0.3333, 0.5397)  1 W 1.78
O (0.6692, 0.8346, 0.1654)  1 W 1.83
In (0.0000, 0.0000, 0.0000)  6 O 2.16
W (0.3333, 0.6667, 0.2356)  4 O 1.78-1.83
O (0.8346, 0.1654, 0.8346)  1 W 1.83
W (0.6667, 0.3333, 0.7644)  4 O 1.78-1.83
Rb (0.0000, 0.0000, 0.5000)  12 O 3.15-3.47
O (0.1654, 0.3308, 0.1654)  1 W 1.83
O (0.8346, 0.6692, 0.8346)  1 W 1.83
O (0.3308, 0.1654, 0.8346)  1 W 1.83

***

Na3Ni2P2C2O14 | GGA+U | optimized geometry

Computed properties:
space-group type	P-1, No. 2
ΔE_f	-1.9893	eV per atom
offset from the most stable computed form	0.25	kJ/mol of atoms

Unit cell a=8.3757 b=8.3761 c=10.1542 alpha=106.82 beta=108.03 gamma=103.55
Closest atoms and distances in Å follow each position.
Atoms (fractional coordinates):
P (0.5549, 0.8056, 0.5765)  4 O 1.54-1.57
P (0.9497, 0.7016, 0.4270)  4 O 1.54-1.55
Na (0.2458, 0.7597, 0.2540)  4 O 2.31-2.43
O (0.9632, 0.3976, 0.6654)  1 P 1.54
P (0.0503, 0.2984, 0.5730)  4 O 1.54-1.55
Na (0.0031, 0.0052, 0.7520)  5 O 2.32-2.53
Na (0.9969, 0.9948, 0.2480)  5 O 2.32-2.53
O (0.5940, 0.3431, 0.5722)  1 P 1.55
O (0.3131, 0.0666, 0.4619)  1 P 1.57
O (0.0622, 0.8162, 0.0648)  1 C 1.25
O (0.5184, 0.0789, 0.3270)  1 P 1.54
O (0.6869, 0.9334, 0.5381)  1 P 1.57
O (0.4318, 0.6769, 0.9374)  1 C 1.24
C (0.4810, 0.2335, 0.9253)  3 O 1.24-1.31
O (0.3371, 0.2747, 0.3256)  1 P 1.54
O (0.1600, 0.4173, 0.1354)  1 C 1.30
Ni (0.8170, 0.5608, 0.6540)  6 O 1.95-2.11
O (0.8400, 0.5827, 0.8646)  1 C 1.30
O (0.6599, 0.9089, 0.1308)  1 C 1.29
O (0.1604, 0.2205, 0.6743)  1 P 1.55
O (0.0368, 0.6024, 0.3346)  1 P 1.54
C (0.5190, 0.7665, 0.0747)  3 O 1.24-1.31
Ni (0.1830, 0.4392, 0.3460)  6 O 1.95-2.11
O (0.4816, 0.9211, 0.6730)  1 P 1.54
O (0.1801, 0.4220, 0.5331)  1 P 1.55
C (0.9808, 0.7282, 0.9257)  3 O 1.25-1.30
Na (0.7542, 0.2403, 0.7460)  4 O 2.31-2.43
Na (0.4783, 0.5173, 0.7396)  5 O 2.27-2.49
P (0.4451, 0.1944, 0.4235)  4 O 1.54-1.57
O (0.9737, 0.2282, 0.1737)  1 C 1.30
O (0.4060, 0.6569, 0.4278)  1 P 1.55
O (0.8396, 0.7795, 0.3257)  1 P 1.55
O (0.3401, 0.0911, 0.8692)  1 C 1.29
O (0.6629, 0.7253, 0.6744)  1 P 1.54
Ni (0.3135, 0.0590, 0.6552)  6 O 1.95-2.08
O (0.9060, 0.1471, 0.4252)  1 P 1.54
O (0.0263, 0.7718, 0.8263)  1 C 1.30
C (0.0192, 0.2718, 0.0743)  3 O 1.25-1.30
O (0.5244, 0.2755, 0.8228)  1 C 1.31
Ni (0.6865, 0.9410, 0.3448)  6 O 1.95-2.08
Na (0.5217, 0.4827, 0.2604)  5 O 2.27-2.49
O (0.4756, 0.7245, 0.1772)  1 C 1.31
O (0.8199, 0.5780, 0.4669)  1 P 1.55
O (0.5682, 0.3231, 0.0626)  1 C 1.24
O (0.9378, 0.1839, 0.9352)  1 C 1.25
O (0.0940, 0.8529, 0.5748)  1 P 1.54

***

Li2FeB2O6 | GGA+U | optimized geometry

Computed properties:
space-group type	P2_1/c, No. 14
ΔE_f	-2.2460	eV per atom
offset from the most stable computed form	6.58	kJ/mol of atoms

Unit cell a=7.6674 b=5.3918 c=5.8741 alpha=62.07 beta=90.00 gamma=90.00
Closest atoms and distances in Å follow each position.
Atoms (fractional coordinates):
O (0.0781, 0.2234, 0.6576)  1 B 1.39
Li (0.0652, 0.6057, 0.7000)  5 O 2.01-2.19
O (0.7395, 0.1142, 0.4027)  1 B 1.39
O (0.1082, 0.2743, 0.0858)  1 B 1.39
O (0.2605, 0.8858, 0.5973)  1 B 1.39
O (0.8918, 0.7257, 0.9142)  1 B 1.39
Li (0.9348, 0.3943, 0.3000)  5 O 2.01-2.19
B (0.7386, 0.8778, 0.8699)  3 O 1.39
O (0.5781, 0.7766, 0.8424)  1 B 1.39
Fe (0.0000, 0.0000, 0.0000)  6 O 1.89-1.96
O (0.4219, 0.2234, 0.1576)  1 B 1.39
O (0.7605, 0.1142, 0.9027)  1 B 1.39
Li (0.4348, 0.6057, 0.2000)  5 O 2.01-2.19
O (0.6082, 0.7257, 0.4142)  1 B 1.39
B (0.2614, 0.1222, 0.1301)  3 O 1.39
Fe (0.5000, 0.0000, 0.5000)  6 O 1.89-1.96
O (0.2395, 0.8858, 0.0973)  1 B 1.39
Li (0.5652, 0.3943, 0.8000)  5 O 2.01-2.19
O (0.3918, 0.2743, 0.5858)  1 B 1.39
B (0.7614, 0.8778, 0.3699)  3 O 1.39
B (0.2386, 0.1222, 0.6301)  3 O 1.39
O (0.9219, 0.7766, 0.3424)  1 B 1.39

***

Mn2VO4 | GGA+U | optimized geometry

Computed properties:
space-group type	P1, No. 1
ΔE_f	-2.2002	eV per atom
offset from the most stable computed form	0.00	kJ/mol of atoms

Unit cell a=6.2132 b=6.2074 c=24.7077 alpha=120.09 beta=119.92 gamma=91.67
Closest atoms and distances in Å follow each position.
Atoms (fractional coordinates):
Mn (0.8747, 0.1167, 0.6851)  4 O 2.06-2.11
O (0.7774, 0.7289, 0.1263)  1 V 1.87, 1 Mn 2.07
Mn (0.5001, 0.5035, 0.0019)  6 O 2.06-2.30
O (0.2252, 0.2987, 0.8811)  1 V 1.91, 2 Mn 2.10
Mn (0.4937, 0.4925, 0.8732)  6 O 2.15-2.25
O (0.2501, 0.7497, 0.3794)  2 V 1.99-2.02, 1 Mn 2.11
O (0.7613, 0.2609, 0.2615)  2 V 1.98-2.03, 1 Mn 2.08
Mn (0.8935, 0.1414, 0.1920)  4 O 2.06-2.08
Mn (0.1130, 0.8840, 0.3090)  4 O 2.07-2.15
O (0.2360, 0.7189, 0.8761)  1 V 2.01, 3 Mn 2.08-2.17
O (0.7701, 0.7061, 0.6219)  1 V 1.93, 3 Mn 2.06-2.13
V (0.0185, 0.5200, 0.3793)  6 O 1.95-2.07
O (0.6994, 0.7652, 0.4959)  1 V 1.94, 3 Mn 2.05-2.12
Mn (0.1060, 0.8792, 0.8140)  4 O 2.07-2.12
O (0.2451, 0.7720, 0.1270)  1 V 1.83
O (0.2426, 0.7452, 0.7436)  2 V 1.97-2.02, 1 Mn 2.12
Mn (0.8812, 0.1218, 0.9368)  4 O 2.02-2.11
O (0.6936, 0.7594, 0.7450)  1 V 1.95, 3 Mn 2.07-2.11
Mn (0.8819, 0.1231, 0.4382)  4 O 2.06-2.10
O (0.2910, 0.2257, 0.5017)  1 V 1.93, 3 Mn 2.06-2.12
O (0.2835, 0.2206, 0.7495)  1 V 1.93, 3 Mn 2.06-2.15
O (0.7491, 0.2474, 0.6149)  2 V 2.03-2.04, 2 Mn 2.09-2.22
O (0.7756, 0.7126, 0.3736)  1 V 1.95, 3 Mn 2.06-2.13
O (0.2514, 0.7498, 0.4940)  2 V 1.97-2.03, 1 Mn 2.10
Mn (0.5089, 0.5010, 0.3758)  6 O 2.10-2.26
Mn (0.4972, 0.0035, 0.0004)  6 O 2.09-2.30
V (0.9772, 0.4765, 0.8668)  5 O 1.89-2.04
O (0.3006, 0.2276, 0.2541)  1 V 1.91, 2 Mn 2.06-2.11
Mn (0.5007, 0.4937, 0.4993)  6 O 2.12-2.26
Mn (0.1088, 0.8871, 0.5619)  4 O 2.05-2.10
V (0.4894, 0.9913, 0.4969)  6 O 1.93-2.04
O (0.2298, 0.2967, 0.6278)  1 V 1.94, 3 Mn 2.05-2.13
V (0.9871, 0.5198, 0.1263)  4 O 1.87-1.96
O (0.2366, 0.7555, 0.0049)  1 V 1.78
V (0.1201, 0.8779, 0.0636)  4 O 1.78-1.83
O (0.2841, 0.2591, 0.0052)  4 Mn 2.02-2.09
O (0.7279, 0.2305, 0.8606)  2 V 2.00-2.04, 2 Mn 2.10-2.22
V (0.0038, 0.5061, 0.6260)  6 O 1.93-2.03
O (0.2436, 0.7431, 0.6291)  2 V 1.99-2.01, 1 Mn 2.10
O (0.7647, 0.7554, 0.0041)  1 V 1.78
O (0.7407, 0.2347, 0.7555)  2 V 1.92-2.10, 1 Mn 2.11
Mn (0.5019, 0.4953, 0.6242)  6 O 2.11-2.26
Mn (0.5054, 0.5018, 0.2508)  6 O 2.13-2.22
O (0.2389, 0.2361, 0.1227)  1 V 1.79
O (0.7880, 0.2855, 0.0169)  1 V 1.89, 1 Mn 2.11
O (0.7793, 0.2943, 0.1287)  1 V 1.92, 1 Mn 2.07
V (0.4718, 0.9763, 0.7448)  6 O 1.93-2.10
Mn (0.4939, 0.4924, 0.7491)  6 O 2.11-2.26
O (0.6974, 0.7668, 0.2429)  1 V 1.92, 3 Mn 2.08-2.15
O (0.7607, 0.2533, 0.3674)  2 V 1.99-2.07, 1 Mn 2.10
V (0.5135, 0.0128, 0.2520)  5 O 1.91-2.08
Mn (0.4935, 0.4971, 0.1233)  5 O 2.04-2.22
O (0.2566, 0.7403, 0.2391)  2 V 1.96-2.08, 2 Mn 2.15-2.19
O (0.2366, 0.2973, 0.3777)  1 V 1.96, 3 Mn 2.07-2.12
O (0.7790, 0.7024, 0.8733)  1 V 1.89, 1 Mn 2.11
O (0.7486, 0.2456, 0.5081)  2 V 2.03, 2 Mn 2.10-2.22

***

Li9Mn2Co5O16 | GGA+U | optimized geometry

Computed properties:
space-group type	P1, No. 1
ΔE_f	-1.6261	eV per atom
offset from the most stable computed form	22.97	kJ/mol of atoms

Unit cell a=2.9141 b=5.1118 c=19.4686 alpha=92.72 beta=92.32 gamma=92.43
Closest atoms and distances in Å follow each position.
Atoms (fractional coordinates):
O (0.3345, 0.7741, 0.6915)  3 Co 1.95-2.11, 3 Li 2.07-2.14
Co (0.3771, 0.1262, 0.7510)  6 O 1.91-2.11
Li (0.5495, 0.1842, 0.1214)  5 O 2.02-2.17
Li (0.1836, 0.0667, 0.3726)  6 O 2.09-2.20
O (0.1891, 0.4161, 0.4433)  1 Co 1.92, 1 Mn 1.99
O (0.6655, 0.2265, 0.3081)  3 Co 1.95-2.10, 3 Li 2.04-2.14
Li (0.3161, 0.4338, 0.6275)  6 O 2.08-2.20
Li (0.0635, 0.6696, 0.1183)  6 O 2.06-2.27
O (0.1677, 0.7250, 0.3088)  3 Co 1.95-2.12, 3 Li 2.07-2.13
Mn (0.0000, 0.9994, 0.9998)  6 O 1.91-1.98
O (0.7995, 0.5784, 0.5563)  2 Mn 1.95-2.15, 1 Co 1.96, 2 Li 2.15-2.18
O (0.3107, 0.0840, 0.5569)  1 Co 1.92, 1 Mn 1.99
O (0.5823, 0.5242, 0.1925)  3 Co 1.92-2.08
O (0.4915, 0.1416, 0.9445)  2 Mn 1.96-1.98, 3 Li 2.05-2.08
Li (0.4507, 0.8153, 0.8785)  5 O 2.02-2.17
O (0.8335, 0.2758, 0.6917)  3 Co 1.95-2.11, 3 Li 2.05-2.13
O (0.4165, 0.4755, 0.8073)  3 Co 1.93-2.08
O (0.9164, 0.9764, 0.8060)  3 Co 1.91-2.06
Co (0.7501, 0.2502, 0.5000)  4 O 1.92-1.96
O (0.9668, 0.6871, 0.9418)  1 Mn 1.91, 4 Li 2.02-2.11
Co (0.1232, 0.3741, 0.2489)  6 O 1.92-2.10
Li (0.6868, 0.5587, 0.3709)  6 O 2.04-2.28
O (0.7003, 0.9218, 0.4438)  2 Mn 1.95-2.15, 1 Co 1.96, 2 Li 2.15-2.18
O (0.5086, 0.8585, 0.0553)  2 Mn 1.96-1.98, 3 Li 2.05-2.08
Li (0.8139, 0.9416, 0.6291)  6 O 2.05-2.28
Co (0.6221, 0.8740, 0.2494)  6 O 1.91-2.12
Li (0.4999, 0.4999, 0.0000)  6 O 2.04-2.17
Mn (0.2499, 0.7504, 0.5001)  6 O 1.95-2.15
Co (0.8773, 0.6255, 0.7507)  6 O 1.93-2.11
O (0.0332, 0.3125, 0.0582)  1 Mn 1.91, 4 Li 2.02-2.12
Li (0.9364, 0.3310, 0.8818)  6 O 2.06-2.28
O (0.0837, 0.0220, 0.1940)  3 Co 1.91-2.06

***

Question: Look up the ΔE_f of the second one.
Answer: -1.9893 eV per atom